Ag6HgP20I2: relaxed, PBE.

Values from the calculation:
The calculation puts the total moment at 0.000 μB/atom. As for the energy relative to the elements: -0.08 eV per atom.

a = 28.088 Å, b = 6.795 Å, c = 7.454 Å
α = 65.92°, β = 90.00°, γ = 90.00°
Atoms (fractional coordinates):
1 Ag 0.154 0.097 0.979
2 Ag 0.654 0.903 0.021
3 Ag 0.846 0.903 0.019
4 Ag 0.346 0.097 0.981
5 Ag 0.071 0.160 0.433
6 Ag 0.571 0.840 0.567
7 Ag 0.930 0.842 0.571
8 Ag 0.430 0.158 0.429
9 Ag 0.250 0.847 0.578
10 Ag 0.750 0.153 0.422
11 Ag 0.009 0.145 0.977
12 Ag 0.509 0.855 0.023
13 Hg 0.250 0.476 0.168
14 Hg 0.750 0.524 0.832
15 P 0.168 0.720 0.720
16 P 0.668 0.280 0.280
17 P 0.832 0.278 0.281
18 P 0.332 0.722 0.719
19 P 0.936 0.292 0.093
20 P 0.436 0.708 0.907
21 P 0.062 0.712 0.912
22 P 0.562 0.288 0.088
23 P 0.170 0.446 0.019
24 P 0.670 0.554 0.981
25 P 0.830 0.553 0.981
26 P 0.330 0.447 0.019
27 P 0.993 0.352 0.466
28 P 0.493 0.648 0.534
29 P 0.006 0.650 0.526
30 P 0.506 0.350 0.474
31 P 0.117 0.950 0.748
32 P 0.617 0.050 0.252
33 P 0.882 0.045 0.255
34 P 0.382 0.955 0.745
35 P 0.106 0.499 0.167
36 P 0.606 0.501 0.833
37 P 0.894 0.501 0.831
38 P 0.394 0.499 0.169
39 P 0.129 0.519 0.596
40 P 0.629 0.481 0.404
41 P 0.871 0.476 0.405
42 P 0.371 0.524 0.595
43 P 0.047 0.892 0.291
44 P 0.547 0.108 0.709
45 P 0.956 0.110 0.714
46 P 0.456 0.890 0.286
47 P 0.059 0.488 0.761
48 P 0.559 0.512 0.239
49 P 0.940 0.523 0.234
50 P 0.440 0.477 0.766
51 P 0.117 0.758 0.285
52 P 0.617 0.242 0.715
53 P 0.884 0.239 0.716
54 P 0.384 0.761 0.284
55 I 0.250 0.269 0.591
56 I 0.750 0.731 0.409
57 I 0.250 0.927 0.164
58 I 0.750 0.073 0.836